A plane-wave DFT calculation with PBE was carried out for Na10Ca6Hf2Si3S9O48 after structural relaxation.

Values from the calculation:
For the formation energy, the calculation gives -2.605 eV per atom. Its total energy is -6.492 eV per atom.

a b c (Å): 9.3512 16.1538 23.2210
angles (deg): 89.98 89.99 89.91
Space group P1 (No. 1)
Unique sites:
Na 0.0000 0.0000 0.0000 (multiplicity 1)
Na 0.0029 0.3063 0.9956 (multiplicity 1)
Na 0.1550 0.4927 0.7516 (multiplicity 1)
Na 0.1574 0.8193 0.9073 (multiplicity 1)
Na 0.1611 0.1678 0.0725 (multiplicity 1)
Na 0.1724 0.1649 0.5832 (multiplicity 1)
Na 0.1765 0.8353 0.4092 (multiplicity 1)
Na 0.2016 0.4944 0.2439 (multiplicity 1)
Na 0.3154 0.3397 0.1595 (multiplicity 1)
Na 0.3471 0.6820 0.4901 (multiplicity 1)
Na 0.3596 0.6410 0.1614 (multiplicity 1)
Na 0.4726 0.1422 0.6598 (multiplicity 1)
Na 0.4862 0.1820 0.9885 (multiplicity 1)
Na 0.5115 0.8160 0.0021 (multiplicity 1)
Na 0.5186 0.8419 0.6565 (multiplicity 1)
Na 0.5226 0.1640 0.3290 (multiplicity 1)
Na 0.6219 0.0037 0.7452 (multiplicity 1)
Na 0.6524 0.3334 0.9080 (multiplicity 1)
Na 0.6676 0.6693 0.5723 (multiplicity 1)
Na 0.6734 0.6710 0.0824 (multiplicity 1)
Na 0.6921 0.9862 0.2494 (multiplicity 1)
Na 0.6939 0.3135 0.4069 (multiplicity 1)
Na 0.8116 0.5074 0.5018 (multiplicity 1)
Na 0.8285 0.8058 0.4954 (multiplicity 1)
Na 0.8364 0.5114 0.1625 (multiplicity 1)
Na 0.8429 0.1457 0.1672 (multiplicity 1)
Na 0.8527 0.8239 0.8396 (multiplicity 1)
Na 0.9698 0.6894 0.9762 (multiplicity 1)
Na 0.9838 0.6448 0.6695 (multiplicity 1)
Na 0.9933 0.0133 0.6615 (multiplicity 1)
Ca 0.1414 0.1612 0.2397 (multiplicity 1)
Ca 0.1505 0.1633 0.4262 (multiplicity 1)
Ca 0.1530 0.8324 0.0622 (multiplicity 1)
Ca 0.1616 0.8334 0.2621 (multiplicity 1)
Ca 0.1627 0.1654 0.9252 (multiplicity 1)
Ca 0.1665 0.1643 0.7315 (multiplicity 1)
Ca 0.1663 0.4937 0.5970 (multiplicity 1)
Ca 0.1766 0.8312 0.7658 (multiplicity 1)
Ca 0.1780 0.4932 0.0916 (multiplicity 1)
Ca 0.6552 0.9956 0.5906 (multiplicity 1)
Ca 0.6663 0.3266 0.5593 (multiplicity 1)
Ca 0.6671 0.3342 0.2661 (multiplicity 1)
Ca 0.6673 0.6597 0.9245 (multiplicity 1)
Ca 0.6666 0.6632 0.2317 (multiplicity 1)
Ca 0.6670 0.6666 0.4256 (multiplicity 1)
Ca 0.6689 0.3328 0.7621 (multiplicity 1)
Ca 0.6700 0.9932 0.0970 (multiplicity 1)
Ca 0.6752 0.6550 0.7363 (multiplicity 1)
Hf 0.1648 0.5019 0.3978 (multiplicity 1)
Hf 0.1731 0.4942 0.8950 (multiplicity 1)
Hf 0.1769 0.8359 0.5559 (multiplicity 1)
Hf 0.6544 0.3359 0.0567 (multiplicity 1)
Hf 0.6634 0.9952 0.3973 (multiplicity 1)
Hf 0.6749 0.0012 0.8997 (multiplicity 1)
Si 0.0172 0.6474 0.5017 (multiplicity 1)
Si 0.3123 0.9816 0.6611 (multiplicity 1)
Si 0.3148 0.3446 0.9990 (multiplicity 1)
Si 0.5172 0.8453 0.4995 (multiplicity 1)
Si 0.5197 0.4814 0.1622 (multiplicity 1)
Si 0.8128 0.8453 0.9932 (multiplicity 1)
Si 0.8160 0.1486 0.0029 (multiplicity 1)
Si 0.8474 0.1598 0.3264 (multiplicity 1)
Si 0.9810 0.6611 0.8301 (multiplicity 1)
S 0.0130 0.3214 0.8334 (multiplicity 1)
S 0.0151 0.6775 0.1611 (multiplicity 1)
S 0.0159 0.3520 0.4929 (multiplicity 1)
S 0.0162 0.9870 0.1608 (multiplicity 1)
S 0.3093 0.3212 0.3296 (multiplicity 1)
S 0.3101 0.6476 0.9944 (multiplicity 1)
S 0.3166 0.6868 0.6569 (multiplicity 1)
S 0.3250 0.0107 0.3333 (multiplicity 1)
S 0.3503 0.6592 0.3304 (multiplicity 1)
S 0.3686 0.3282 0.6632 (multiplicity 1)
S 0.3740 0.9942 0.9923 (multiplicity 1)
S 0.4620 0.4934 0.4918 (multiplicity 1)
S 0.4639 0.8281 0.1611 (multiplicity 1)
S 0.4814 0.1588 0.8304 (multiplicity 1)
S 0.5048 0.5065 0.8317 (multiplicity 1)
S 0.5134 0.1875 0.1592 (multiplicity 1)
S 0.5166 0.1489 0.4926 (multiplicity 1)
S 0.5231 0.8242 0.8317 (multiplicity 1)
S 0.8155 0.4842 0.6583 (multiplicity 1)
S 0.8156 0.1789 0.6624 (multiplicity 1)
S 0.8185 0.8208 0.3339 (multiplicity 1)
S 0.8331 0.5116 0.3325 (multiplicity 1)
S 0.8723 0.4933 0.9975 (multiplicity 1)
S 0.8740 0.8299 0.6594 (multiplicity 1)
S 0.9585 0.3300 0.1573 (multiplicity 1)
S 0.9621 0.9935 0.4988 (multiplicity 1)
S 0.9977 0.0121 0.8302 (multiplicity 1)
O 0.0307 0.0589 0.7773 (multiplicity 1)
O 0.0384 0.9097 0.4990 (multiplicity 1)
O 0.0399 0.2765 0.8878 (multiplicity 1)
O 0.0414 0.5948 0.5596 (multiplicity 1)
O 0.0441 0.4078 0.1567 (multiplicity 1)
O 0.0470 0.9250 0.8271 (multiplicity 1)
O 0.0480 0.7190 0.1055 (multiplicity 1)
O 0.0534 0.9482 0.1044 (multiplicity 1)
O 0.0559 0.0514 0.8823 (multiplicity 1)
O 0.0557 0.2567 0.1580 (multiplicity 1)
O 0.0651 0.3899 0.5470 (multiplicity 1)
O 0.0661 0.0597 0.4897 (multiplicity 1)
O 0.0681 0.4062 0.4434 (multiplicity 1)
O 0.0699 0.9366 0.2090 (multiplicity 1)
O 0.0711 0.2680 0.4881 (multiplicity 1)
O 0.0748 0.7243 0.2099 (multiplicity 1)
O 0.0755 0.2789 0.7833 (multiplicity 1)
O 0.0767 0.7457 0.8294 (multiplicity 1)
O 0.0799 0.5924 0.1619 (multiplicity 1)
O 0.0810 0.0717 0.1614 (multiplicity 1)
O 0.0832 0.5770 0.8431 (multiplicity 1)
O 0.0848 0.4059 0.8374 (multiplicity 1)
O 0.0958 0.7401 0.5020 (multiplicity 1)
O 0.0983 0.5926 0.4471 (multiplicity 1)
O 0.2307 0.0722 0.6605 (multiplicity 1)
O 0.2335 0.7286 0.9903 (multiplicity 1)
O 0.2429 0.4057 0.3394 (multiplicity 1)
O 0.2454 0.3735 0.0595 (multiplicity 1)
O 0.2454 0.9272 0.6038 (multiplicity 1)
O 0.2504 0.5937 0.9474 (multiplicity 1)
O 0.2522 0.7309 0.3278 (multiplicity 1)
O 0.2533 0.2900 0.2732 (multiplicity 1)
O 0.2528 0.7254 0.7076 (multiplicity 1)
O 0.2614 0.5802 0.3350 (multiplicity 1)
O 0.2606 0.6017 0.6522 (multiplicity 1)
O 0.2639 0.2493 0.9881 (multiplicity 1)
O 0.2648 0.4091 0.9467 (multiplicity 1)
O 0.2654 0.9263 0.3273 (multiplicity 1)
O 0.2696 0.0513 0.3847 (multiplicity 1)
O 0.2697 0.0621 0.9838 (multiplicity 1)
O 0.2710 0.4007 0.6623 (multiplicity 1)
O 0.2729 0.2645 0.3767 (multiplicity 1)
O 0.2727 0.7365 0.6034 (multiplicity 1)
O 0.2835 0.2491 0.6638 (multiplicity 1)
O 0.2825 0.6085 0.0508 (multiplicity 1)
O 0.2827 0.9247 0.7160 (multiplicity 1)
O 0.2979 0.9135 0.9949 (multiplicity 1)
O 0.3052 0.0626 0.2810 (multiplicity 1)
O 0.3369 0.8408 0.4998 (multiplicity 1)
O 0.3429 0.4966 0.8368 (multiplicity 1)
O 0.3449 0.4949 0.1585 (multiplicity 1)
O 0.3549 0.1883 0.1580 (multiplicity 1)
O 0.3607 0.1574 0.4871 (multiplicity 1)
O 0.3624 0.8280 0.2098 (multiplicity 1)
O 0.3630 0.4878 0.4405 (multiplicity 1)
O 0.3681 0.8371 0.8301 (multiplicity 1)
O 0.3747 0.5007 0.5443 (multiplicity 1)
O 0.3842 0.8247 0.1051 (multiplicity 1)
O 0.3908 0.1642 0.8825 (multiplicity 1)
O 0.3950 0.1515 0.7770 (multiplicity 1)
O 0.4365 0.6506 0.2772 (multiplicity 1)
O 0.4397 0.6653 0.3826 (multiplicity 1)
O 0.4576 0.0114 0.0444 (multiplicity 1)
O 0.4580 0.3311 0.7154 (multiplicity 1)
O 0.4594 0.3243 0.6107 (multiplicity 1)
O 0.4646 0.6616 0.9874 (multiplicity 1)
O 0.4665 0.3299 0.3281 (multiplicity 1)
O 0.4737 0.9892 0.9410 (multiplicity 1)
O 0.4757 0.6883 0.6581 (multiplicity 1)
O 0.4874 0.0023 0.3394 (multiplicity 1)
O 0.4866 0.9959 0.6571 (multiplicity 1)
O 0.4951 0.3407 0.0004 (multiplicity 1)
O 0.5296 0.5546 0.7786 (multiplicity 1)
O 0.5502 0.5697 0.4864 (multiplicity 1)
O 0.5497 0.7493 0.1638 (multiplicity 1)
O 0.5510 0.1090 0.5482 (multiplicity 1)
O 0.5509 0.4246 0.2170 (multiplicity 1)
O 0.5560 0.5486 0.8835 (multiplicity 1)
O 0.5574 0.9015 0.1647 (multiplicity 1)
O 0.5581 0.4209 0.4920 (multiplicity 1)
O 0.5611 0.7766 0.8839 (multiplicity 1)
O 0.5627 0.2398 0.1074 (multiplicity 1)
O 0.5669 0.4224 0.8287 (multiplicity 1)
O 0.5692 0.7499 0.4896 (multiplicity 1)
O 0.5695 0.2254 0.2122 (multiplicity 1)
O 0.5695 0.9085 0.4470 (multiplicity 1)
O 0.5706 0.0806 0.8341 (multiplicity 1)
O 0.5731 0.1035 0.1542 (multiplicity 1)
O 0.5741 0.0951 0.4439 (multiplicity 1)
O 0.5779 0.2313 0.8284 (multiplicity 1)
O 0.5808 0.7827 0.7790 (multiplicity 1)
O 0.5851 0.8747 0.5600 (multiplicity 1)
O 0.5871 0.4284 0.1043 (multiplicity 1)
O 0.5893 0.2301 0.4876 (multiplicity 1)
O 0.5978 0.9078 0.8341 (multiplicity 1)
O 0.6001 0.5723 0.1621 (multiplicity 1)
O 0.7286 0.2344 0.3286 (multiplicity 1)
O 0.7348 0.8910 0.0458 (multiplicity 1)
O 0.7367 0.0935 0.9487 (multiplicity 1)
O 0.7367 0.2415 0.0023 (multiplicity 1)
O 0.7449 0.0740 0.3407 (multiplicity 1)
O 0.7449 0.7516 0.9903 (multiplicity 1)
O 0.7469 0.9052 0.3382 (multiplicity 1)
O 0.7502 0.0939 0.6609 (multiplicity 1)
O 0.7511 0.5696 0.6585 (multiplicity 1)
O 0.7560 0.7786 0.2837 (multiplicity 1)
O 0.7577 0.2216 0.7135 (multiplicity 1)
O 0.7632 0.4354 0.7072 (multiplicity 1)
O 0.7710 0.9055 0.9344 (multiplicity 1)
O 0.7735 0.5619 0.9878 (multiplicity 1)
O 0.7760 0.5538 0.3839 (multiplicity 1)
O 0.7764 0.7565 0.6591 (multiplicity 1)
O 0.7767 0.4271 0.3295 (multiplicity 1)
O 0.7775 0.4445 0.6024 (multiplicity 1)
O 0.7802 0.2247 0.6091 (multiplicity 1)
O 0.7890 0.9077 0.6570 (multiplicity 1)
O 0.7927 0.0985 0.0619 (multiplicity 1)
O 0.7926 0.4117 0.9996 (multiplicity 1)
O 0.7927 0.7758 0.3882 (multiplicity 1)
O 0.8073 0.5594 0.2790 (multiplicity 1)
O 0.8352 0.0094 0.8348 (multiplicity 1)
O 0.8454 0.6576 0.4912 (multiplicity 1)
O 0.8562 0.3549 0.4894 (multiplicity 1)
O 0.8563 0.9864 0.4505 (multiplicity 1)
O 0.8569 0.6680 0.1659 (multiplicity 1)
O 0.8573 0.9951 0.1670 (multiplicity 1)
O 0.8580 0.3358 0.8275 (multiplicity 1)
O 0.8657 0.3320 0.2080 (multiplicity 1)
O 0.8688 0.3243 0.1032 (multiplicity 1)
O 0.8730 0.6736 0.8848 (multiplicity 1)
O 0.8886 0.0043 0.5542 (multiplicity 1)
O 0.8929 0.6474 0.7694 (multiplicity 1)
O 0.9182 0.1459 0.2623 (multiplicity 1)
O 0.9479 0.5065 0.0527 (multiplicity 1)
O 0.9620 0.8315 0.7118 (multiplicity 1)
O 0.9665 0.1681 0.3757 (multiplicity 1)
O 0.9685 0.8228 0.6066 (multiplicity 1)
O 0.9739 0.1684 0.6660 (multiplicity 1)
O 0.9739 0.8348 0.3277 (multiplicity 1)
O 0.9747 0.4935 0.6641 (multiplicity 1)
O 0.9776 0.4842 0.9493 (multiplicity 1)
O 0.9873 0.1581 0.9912 (multiplicity 1)
O 0.9889 0.8438 0.9920 (multiplicity 1)
O 0.9956 0.5055 0.3392 (multiplicity 1)